1.
This record from the Materials Project describes a geometry-optimized NaMo6Cl13 structure. The functional is meta-GGA r2SCAN.

Cell lengths 9.020, 9.140, 14.089 Å; angles 97.03, 101.65, 114.40 degrees
Sites, in units of the cell vectors:
Cl (0.654, 0.252, 0.866)
Cl (0.241, 0.231, 0.698)
Cl (0.989, 0.521, 0.215)
Cl (0.433, 0.778, 0.905)
Cl (0.343, 0.208, 0.470)
Cl (0.246, 0.527, 0.564)
Cl (0.657, 0.792, 0.530)
Cl (0.118, 0.957, 0.212)
Cl (0.754, 0.473, 0.436)
Cl (0.011, 0.479, 0.785)
Cl (0.346, 0.748, 0.134)
Cl (0.463, 0.999, 0.644)
Cl (0.759, 0.769, 0.302)
Cl (0.910, 0.162, 0.046)
Cl (0.145, 0.778, 0.426)
Cl (0.686, 0.593, 0.769)
Cl (0.314, 0.407, 0.231)
Cl (0.537, 0.001, 0.356)
Cl (0.962, 0.201, 0.349)
Cl (0.567, 0.222, 0.095)
Cl (0.038, 0.799, 0.651)
Cl (0.090, 0.838, 0.954)
Cl (0.882, 0.043, 0.788)
Cl (0.737, 0.613, 0.032)
Cl (0.263, 0.387, 0.968)
Cl (0.855, 0.222, 0.574)
Na (0.497, 0.754, 0.727)
Na (0.503, 0.246, 0.273)
Mo (0.800, 0.998, 0.436)
Mo (0.186, 0.619, 0.958)
Mo (0.106, 0.227, 0.525)
Mo (0.134, 0.454, 0.096)
Mo (0.956, 0.312, 0.911)
Mo (0.814, 0.381, 0.042)
Mo (0.894, 0.773, 0.475)
Mo (0.866, 0.546, 0.904)
Mo (0.200, 0.002, 0.564)
Mo (0.054, 0.986, 0.381)
Mo (0.946, 0.014, 0.619)
Mo (0.044, 0.688, 0.089)

- Space group: P-1 (2)
- Calculated volume: 1008 Å³/cell

2.
This record from the Materials Project describes a geometry-optimized Tb2CdNi2 structure. The functional is meta-GGA r2SCAN.

Cell lengths 7.348, 7.348, 3.651 Å; angles 90.00, 90.00, 90.00 degrees
Sites, in units of the cell vectors:
Ni (0.616, 0.884, 0.000)
Ni (0.116, 0.616, 0.000)
Ni (0.884, 0.384, 0.000)
Ni (0.384, 0.116, 0.000)
Tb (0.824, 0.676, 0.500)
Tb (0.176, 0.324, 0.500)
Tb (0.324, 0.824, 0.500)
Tb (0.676, 0.176, 0.500)
Cd (0.000, 0.000, 0.000)
Cd (0.500, 0.500, 0.000)

- Space group: P4/mbm (127)
- Calculated volume: 197 Å³/cell

3.
This record from the Materials Project describes a geometry-optimized KBiF6 structure. The functional is meta-GGA r2SCAN.

Cell lengths 5.385, 5.385, 9.614 Å; angles 90.00, 90.00, 90.00 degrees
Sites, in units of the cell vectors:
F (0.189, 0.809, 0.604)
F (0.267, 0.733, 0.250)
F (0.733, 0.733, 0.750)
F (0.267, 0.267, 0.750)
F (0.191, 0.189, 0.396)
F (0.809, 0.811, 0.396)
F (0.191, 0.811, 0.896)
F (0.733, 0.267, 0.250)
F (0.189, 0.191, 0.104)
F (0.811, 0.191, 0.604)
F (0.809, 0.189, 0.896)
F (0.811, 0.809, 0.104)
K (0.500, 0.500, 0.000)
K (0.500, 0.500, 0.500)
Bi (0.000, 0.000, 0.750)
Bi (0.000, 0.000, 0.250)

- Space group: P-4c2 (116)
- Calculated volume: 279 Å³/cell

4.
This record from the Materials Project describes a geometry-optimized K3Cd structure. The functional is meta-GGA r2SCAN.

Cell lengths 6.575, 6.575, 6.575 Å; angles 121.29, 121.29, 87.78 degrees
Sites, in units of the cell vectors:
K (0.250, 0.750, 0.500)
K (0.750, 0.250, 0.500)
K (0.500, 0.500, 0.000)
Cd (0.000, 0.000, 0.000)

- Space group: I4/mmm (139)
- Calculated volume: 197 Å³/cell

5.
This record from the Materials Project describes a geometry-optimized Zr3O structure. The functional is meta-GGA r2SCAN.

Cell lengths 10.890, 10.890, 10.890 Å; angles 30.09, 30.09, 30.09 degrees
Sites, in units of the cell vectors:
Zr (0.500, 0.840, 0.160)
Zr (0.242, 0.924, 0.585)
Zr (0.415, 0.076, 0.758)
Zr (0.758, 0.415, 0.076)
Zr (0.585, 0.242, 0.924)
Zr (0.160, 0.500, 0.840)
Zr (0.658, 0.000, 0.342)
Zr (0.924, 0.585, 0.242)
Zr (0.342, 0.658, 0.000)
Zr (0.076, 0.758, 0.415)
Zr (0.840, 0.160, 0.500)
Zr (0.000, 0.342, 0.658)
O (0.292, 0.292, 0.292)
O (0.708, 0.708, 0.708)
O (0.125, 0.125, 0.125)
O (0.875, 0.875, 0.875)

- Space group: R32 (155)
- Calculated volume: 288 Å³/cell

6.
This record from the Materials Project describes a geometry-optimized TiAgF6 structure. The functional is meta-GGA r2SCAN.

Cell lengths 5.045, 5.182, 5.755 Å; angles 93.45, 116.61, 119.26 degrees
Sites, in units of the cell vectors:
F (0.154, 0.293, 0.713)
F (0.869, 0.597, 0.738)
F (0.846, 0.707, 0.287)
F (0.131, 0.403, 0.262)
F (0.474, 0.884, 0.730)
F (0.526, 0.116, 0.270)
Ag (0.000, 0.000, 0.000)
Ti (0.000, 0.500, 0.500)

- Space group: P-1 (2)
- Calculated volume: 110 Å³/cell

7.
This record from the Materials Project describes a geometry-optimized Tb5Pt3 structure. The functional is meta-GGA r2SCAN.

Cell lengths 8.444, 8.444, 6.185 Å; angles 90.00, 90.00, 120.00 degrees
Sites, in units of the cell vectors:
Tb (0.333, 0.667, 0.500)
Tb (0.752, 0.000, 0.250)
Tb (0.667, 0.333, 0.000)
Tb (0.333, 0.667, 0.000)
Tb (0.248, 0.000, 0.750)
Tb (0.667, 0.333, 0.500)
Tb (0.752, 0.752, 0.750)
Tb (0.000, 0.248, 0.750)
Tb (0.000, 0.752, 0.250)
Tb (0.248, 0.248, 0.250)
Pt (0.393, 0.393, 0.750)
Pt (0.393, 0.000, 0.250)
Pt (0.607, 0.607, 0.250)
Pt (0.000, 0.607, 0.750)
Pt (0.607, 0.000, 0.750)
Pt (0.000, 0.393, 0.250)

- Space group: P6_3/mcm (193)
- Calculated volume: 382 Å³/cell

8.
This record from the Materials Project describes a geometry-optimized EuIr2 structure. The functional is meta-GGA r2SCAN.

Cell lengths 5.398, 5.398, 5.398 Å; angles 60.00, 60.00, 60.00 degrees
Sites, in units of the cell vectors:
Ir (0.625, 0.625, 0.125)
Ir (0.125, 0.625, 0.625)
Ir (0.625, 0.125, 0.625)
Ir (0.625, 0.625, 0.625)
Eu (0.000, 0.000, 0.000)
Eu (0.250, 0.250, 0.250)

- Space group: Fd-3m (227)
- Calculated volume: 111 Å³/cell

9.
This record from the Materials Project describes a geometry-optimized K4I2O9 structure. The functional is meta-GGA r2SCAN.

Cell lengths 6.122, 6.122, 15.715 Å; angles 90.00, 90.00, 120.00 degrees
Sites, in units of the cell vectors:
O (0.367, 0.184, 0.105)
O (0.816, 0.184, 0.105)
O (0.184, 0.816, 0.605)
O (0.467, 0.532, 0.750)
O (0.816, 0.633, 0.105)
O (0.935, 0.468, 0.250)
O (0.065, 0.532, 0.750)
O (0.633, 0.816, 0.895)
O (0.816, 0.184, 0.395)
O (0.184, 0.368, 0.895)
O (0.184, 0.816, 0.895)
O (0.816, 0.632, 0.395)
O (0.367, 0.184, 0.395)
O (0.532, 0.468, 0.250)
O (0.184, 0.367, 0.605)
O (0.532, 0.065, 0.250)
O (0.632, 0.816, 0.605)
O (0.468, 0.935, 0.750)
K (0.667, 0.333, 0.601)
K (0.000, 0.000, 0.500)
K (0.333, 0.667, 0.101)
K (0.000, 0.000, 0.750)
K (0.000, 0.000, 0.250)
K (0.333, 0.667, 0.399)
K (0.000, 0.000, 0.000)
K (0.667, 0.333, 0.899)
I (0.333, 0.667, 0.659)
I (0.667, 0.333, 0.341)
I (0.667, 0.333, 0.159)
I (0.333, 0.667, 0.841)

- Space group: P6_3/mmc (194)
- Calculated volume: 510 Å³/cell

10.
This record from the Materials Project describes a geometry-optimized Bi3Pt3O11 structure. The functional is meta-GGA r2SCAN.

Cell lengths 9.407, 9.407, 9.407 Å; angles 90.00, 90.00, 90.00 degrees
Sites, in units of the cell vectors:
O (0.169, 0.212, 0.506)
O (0.500, 0.145, 0.500)
O (0.212, 0.494, 0.831)
O (0.169, 0.788, 0.494)
O (0.897, 0.103, 0.103)
O (0.500, 0.500, 0.855)
O (0.000, 0.000, 0.355)
O (0.288, 0.994, 0.331)
O (0.855, 0.500, 0.500)
O (0.897, 0.897, 0.897)
O (0.103, 0.897, 0.103)
O (0.506, 0.169, 0.212)
O (0.494, 0.169, 0.788)
O (0.000, 0.355, 0.000)
O (0.831, 0.788, 0.506)
O (0.603, 0.397, 0.397)
O (0.103, 0.103, 0.897)
O (0.145, 0.500, 0.500)
O (0.669, 0.288, 0.006)
O (0.994, 0.669, 0.712)
O (0.355, 0.000, 0.000)
O (0.397, 0.603, 0.397)
O (0.494, 0.831, 0.212)
O (0.212, 0.506, 0.169)
O (0.645, 0.000, 0.000)
O (0.994, 0.331, 0.288)
O (0.500, 0.855, 0.500)
O (0.331, 0.288, 0.994)
O (0.831, 0.212, 0.494)
O (0.006, 0.331, 0.712)
O (0.397, 0.397, 0.603)
O (0.500, 0.500, 0.145)
O (0.331, 0.712, 0.006)
O (0.506, 0.831, 0.788)
O (0.788, 0.494, 0.169)
O (0.000, 0.645, 0.000)
O (0.788, 0.506, 0.831)
O (0.603, 0.603, 0.603)
O (0.000, 0.000, 0.645)
O (0.712, 0.006, 0.331)
O (0.669, 0.712, 0.994)
O (0.288, 0.006, 0.669)
O (0.006, 0.669, 0.288)
O (0.712, 0.994, 0.669)
Bi (0.367, 0.367, 0.367)
Bi (0.750, 0.250, 0.250)
Bi (0.133, 0.133, 0.133)
Bi (0.250, 0.750, 0.250)
Bi (0.750, 0.750, 0.750)
Bi (0.367, 0.633, 0.633)
Bi (0.250, 0.250, 0.750)
Bi (0.133, 0.867, 0.867)
Bi (0.867, 0.867, 0.133)
Bi (0.867, 0.133, 0.867)
Bi (0.633, 0.367, 0.633)
Bi (0.633, 0.633, 0.367)
Pt (0.842, 0.000, 0.500)
Pt (0.000, 0.500, 0.158)
Pt (0.658, 0.500, 0.000)
Pt (0.500, 0.842, 0.000)
Pt (0.000, 0.658, 0.500)
Pt (0.500, 0.158, 0.000)
Pt (0.500, 0.000, 0.342)
Pt (0.342, 0.500, 0.000)
Pt (0.000, 0.342, 0.500)
Pt (0.158, 0.000, 0.500)
Pt (0.500, 0.000, 0.658)
Pt (0.000, 0.500, 0.842)

- Space group: Pn-3 (201)
- Calculated volume: 832 Å³/cell

11.
This record from the Materials Project describes a geometry-optimized Dy12Mn5C15 structure. The functional is meta-GGA r2SCAN.

Cell lengths 10.448, 10.448, 5.052 Å; angles 90.00, 90.00, 120.00 degrees
Sites, in units of the cell vectors:
C (0.000, 0.794, 0.000)
C (0.522, 0.804, 0.500)
C (0.794, 0.000, 0.000)
C (0.196, 0.718, 0.500)
C (0.673, 0.673, 0.000)
C (0.804, 0.522, 0.500)
C (0.206, 0.206, 0.000)
C (0.000, 0.456, 0.000)
C (0.456, 0.000, 0.000)
C (0.282, 0.478, 0.500)
C (0.000, 0.327, 0.000)
C (0.478, 0.282, 0.500)
C (0.327, 0.000, 0.000)
C (0.718, 0.196, 0.500)
C (0.544, 0.544, 0.000)
Dy (0.429, 0.000, 0.500)
Dy (0.000, 0.794, 0.500)
Dy (0.730, 0.186, 0.000)
Dy (0.456, 0.270, 0.000)
Dy (0.572, 0.572, 0.500)
Dy (0.186, 0.730, 0.000)
Dy (0.814, 0.544, 0.000)
Dy (0.206, 0.206, 0.500)
Dy (0.794, 0.000, 0.500)
Dy (0.270, 0.456, 0.000)
Dy (0.000, 0.429, 0.500)
Dy (0.544, 0.814, 0.000)
Mn (0.846, 0.846, 0.000)
Mn (0.333, 0.667, 0.500)
Mn (0.667, 0.333, 0.500)
Mn (0.000, 0.154, 0.000)
Mn (0.154, 0.000, 0.000)

- Space group: P-62m (189)
- Calculated volume: 478 Å³/cell

12.
This record from the Materials Project describes a geometry-optimized Mg3Ir structure. The functional is meta-GGA r2SCAN.

Cell lengths 7.858, 7.858, 8.172 Å; angles 90.00, 90.00, 120.00 degrees
Sites, in units of the cell vectors:
Mg (0.630, 0.000, 0.411)
Mg (0.370, 0.000, 0.911)
Mg (0.333, 0.667, 0.200)
Mg (0.000, 0.630, 0.411)
Mg (0.000, 0.289, 0.571)
Mg (0.000, 0.711, 0.071)
Mg (0.000, 0.000, 0.807)
Mg (0.711, 0.000, 0.071)
Mg (0.000, 0.370, 0.911)
Mg (0.289, 0.000, 0.571)
Mg (0.667, 0.333, 0.700)
Mg (0.711, 0.711, 0.571)
Mg (0.000, 0.000, 0.307)
Mg (0.289, 0.289, 0.071)
Mg (0.667, 0.333, 0.200)
Mg (0.630, 0.630, 0.911)
Mg (0.333, 0.667, 0.700)
Mg (0.370, 0.370, 0.411)
Ir (0.329, 0.000, 0.240)
Ir (0.671, 0.671, 0.240)
Ir (0.329, 0.329, 0.740)
Ir (0.000, 0.329, 0.240)
Ir (0.671, 0.000, 0.740)
Ir (0.000, 0.671, 0.740)

- Space group: P6_3cm (185)
- Calculated volume: 437 Å³/cell

What did we get for VASP energy? Answer: -13.17 -21.72 -12.74 -9.47 -20.10 -9.35 -39.92 -48.34 -9.60 -24.29 -19.43 -16.57 eV/atom, in the order shown.